This record from the Materials Project describes crystalline Cs3GeAsSe5 at its relaxed geometry. The functional is PBE.

* MP2020-corrected energy: -3.975 eV per atom
* energy of formation: -1.031 eV per atom
* SG: No. 14
* size of the total moment: 0.000 μB/atom
* uncorrected energy: -3.7395 eV/atom

a = 7.936 Å, b = 9.846 Å, c = 20.257 Å
α = 90.00°, β = 102.91°, γ = 90.00°
Fractional positions:
1 Cs 0.086 0.199 0.458
2 Cs 0.086 0.301 0.958
3 Cs 0.158 0.060 0.239
4 Cs 0.158 0.440 0.739
5 Cs 0.383 0.711 0.414
6 Cs 0.383 0.789 0.914
7 Cs 0.617 0.211 0.086
8 Cs 0.617 0.289 0.586
9 Cs 0.842 0.560 0.261
10 Cs 0.842 0.940 0.761
11 Cs 0.914 0.699 0.042
12 Cs 0.914 0.801 0.542
13 Ge 0.425 0.709 0.629
14 Ge 0.425 0.791 0.129
15 Ge 0.575 0.209 0.871
16 Ge 0.575 0.291 0.371
17 As 0.329 0.042 0.700
18 As 0.329 0.458 0.200
19 As 0.671 0.542 0.800
20 As 0.671 0.958 0.300
21 Se 0.061 0.116 0.637
22 Se 0.061 0.384 0.137
23 Se 0.250 0.540 0.569
24 Se 0.250 0.960 0.069
25 Se 0.289 0.114 0.816
26 Se 0.289 0.386 0.316
27 Se 0.297 0.706 0.222
28 Se 0.297 0.794 0.722
29 Se 0.482 0.596 0.072
30 Se 0.482 0.904 0.572
31 Se 0.518 0.096 0.428
32 Se 0.518 0.404 0.928
33 Se 0.703 0.206 0.278
34 Se 0.703 0.294 0.778
35 Se 0.711 0.614 0.684
36 Se 0.711 0.886 0.184
37 Se 0.750 0.040 0.931
38 Se 0.750 0.460 0.431
39 Se 0.939 0.616 0.863
40 Se 0.939 0.884 0.363